Entry 1:
Material: Bi2Mo3O12
Method: DFT, GGA+U
State: relaxed

Summary:
Energy, eV per atom: -6.711
DFT formation energy, eV per formula unit: -32.25

Geometry as CIF:
```
data_Bi2Mo3O12
_chemical_formula_sum 'Bi8 Mo12 O48'
_symmetry_space_group_name_H-M 'P 1 21/c 1'
_symmetry_Int_Tables_number 14
_symmetry_space_group_name_Hall '-P 2ybc'
_cell_length_a 7.836
_cell_length_b 11.634
_cell_length_c 12.020
_cell_angle_alpha 90.00
_cell_angle_beta 113.36
_cell_angle_gamma 90.00
loop_
_atom_site_label
_atom_site_type_symbol
_atom_site_fract_x
_atom_site_fract_y
_atom_site_fract_z
Bi1 Bi 0.092 0.132 0.421
Bi2 Bi 0.253 0.633 0.755
Mo1 Mo 0.045 0.613 0.418
Mo2 Mo 0.265 0.136 0.797
Mo3 Mo 0.424 0.648 0.109
O1 O 0.048 0.208 0.804
O2 O 0.061 0.052 0.240
O3 O 0.123 0.211 0.073
O4 O 0.142 0.547 0.575
O5 O 0.158 0.064 0.655
O6 O 0.216 0.694 0.146
O7 O 0.228 0.705 0.423
O8 O 0.303 0.562 0.977
O9 O 0.314 0.029 0.904
O10 O 0.372 0.208 0.425
O11 O 0.463 0.044 0.282
O12 O 0.490 0.192 0.789
```

=====

Entry 2:
Material: Li3MnV3O8
Method: DFT, GGA+U
State: relaxed

Summary:
Relative energy among the computed polymorphs, meV per atom: 10
Energy, eV per atom: -7.003
Size of the total moment, Bohr magnetons per cell: 10.00
DFT formation energy, eV per formula unit: -35.59

Geometry as CIF:
```
data_Li3MnV3O8
_chemical_formula_sum 'Li6 Mn2 V6 O16'
_symmetry_space_group_name_H-M 'C 1 2/m 1'
_symmetry_Int_Tables_number 12
_symmetry_space_group_name_Hall '-C 2y'
_cell_length_a 10.356
_cell_length_b 5.944
_cell_length_c 5.915
_cell_angle_alpha 90.00
_cell_angle_beta 124.64
_cell_angle_gamma 90.00
loop_
_atom_site_label
_atom_site_type_symbol
_atom_site_fract_x
_atom_site_fract_y
_atom_site_fract_z
Li1 Li 0.000 0.000 0.000
Li2 Li 0.250 0.250 0.000
Mn1 Mn 0.000 0.500 0.000
V1 V 0.000 0.500 0.500
V2 V 0.250 0.250 0.500
O1 O 0.006 0.276 0.245
O2 O 0.228 0.500 0.241
O3 O 0.246 0.500 0.730
```

=====

Entry 3:
Material: Li7Cr7P8O34
Method: DFT, GGA+U
State: relaxed

Summary:
Energy, eV per atom: -7.101
Size of the total moment, Bohr magnetons per cell: 42.00
DFT formation energy, eV per formula unit: -142.53

Geometry as CIF:
```
data_Li7Cr7P8O34
_chemical_formula_sum 'Li14 Cr14 P16 O68'
_symmetry_space_group_name_H-M 'P 1 21/c 1'
_symmetry_Int_Tables_number 14
_symmetry_space_group_name_Hall '-P 2ybc'
_cell_length_a 7.973
_cell_length_b 20.237
_cell_length_c 9.931
_cell_angle_alpha 90.00
_cell_angle_beta 112.10
_cell_angle_gamma 90.00
loop_
_atom_site_label
_atom_site_type_symbol
_atom_site_fract_x
_atom_site_fract_y
_atom_site_fract_z
Li1 Li 0.000 0.000 0.000
Li2 Li 0.223 0.144 0.826
Li3 Li 0.355 0.239 0.200
Li4 Li 0.450 0.551 0.822
Cr1 Cr 0.018 0.661 0.451
Cr2 Cr 0.101 0.080 0.391
Cr3 Cr 0.282 0.639 0.301
Cr4 Cr 0.500 0.000 0.000
P1 P 0.045 0.225 0.349
P2 P 0.180 0.007 0.686
P3 P 0.345 0.085 0.199
P4 P 0.384 0.647 0.598
O1 O 0.027 0.515 0.858
O2 O 0.060 0.606 0.311
O3 O 0.098 0.205 0.917
O4 O 0.103 0.224 0.213
O5 O 0.153 0.173 0.461
O6 O 0.160 0.715 0.187
O7 O 0.163 0.091 0.065
O8 O 0.206 0.567 0.147
O9 O 0.249 0.616 0.657
O10 O 0.260 0.053 0.601
O11 O 0.264 0.025 0.849
O12 O 0.273 0.698 0.476
O13 O 0.320 0.073 0.344
O14 O 0.431 0.020 0.171
O15 O 0.431 0.594 0.498
O16 O 0.442 0.176 0.793
O17 O 0.461 0.148 0.210
```

=====

Entry 4:
Material: MgFe8O8F8
Method: DFT, GGA+U
State: relaxed

Summary:
Relative energy among the computed polymorphs, meV per atom: 32
Energy, eV per atom: -5.979
Size of the total moment, Bohr magnetons per cell: 0.00
DFT formation energy, eV per formula unit: -52.45

Geometry as CIF:
```
data_MgFe8O8F8
_chemical_formula_sum 'Mg1 Fe8 O8 F8'
_symmetry_space_group_name_H-M 'P 1 m 1'
_symmetry_Int_Tables_number 6
_symmetry_space_group_name_Hall 'P -2y'
_cell_length_a 10.081
_cell_length_b 3.053
_cell_length_c 10.137
_cell_angle_alpha 90.00
_cell_angle_beta 96.74
_cell_angle_gamma 90.00
loop_
_atom_site_label
_atom_site_type_symbol
_atom_site_fract_x
_atom_site_fract_y
_atom_site_fract_z
Mg1 Mg 0.000 0.000 0.000
Fe1 Fe 0.071 0.500 0.421
Fe2 Fe 0.158 0.500 0.844
Fe3 Fe 0.357 0.000 0.120
Fe4 Fe 0.372 0.000 0.652
Fe5 Fe 0.567 0.500 0.913
Fe6 Fe 0.598 0.500 0.403
Fe7 Fe 0.841 0.000 0.184
Fe8 Fe 0.881 0.000 0.647
O1 O 0.005 0.000 0.324
O2 O 0.025 0.000 0.800
O3 O 0.204 0.000 0.978
O4 O 0.280 0.500 0.720
O5 O 0.447 0.500 0.042
O6 O 0.515 0.000 0.797
O7 O 0.923 0.500 0.072
O8 O 0.962 0.500 0.562
F1 F 0.217 0.000 0.494
F2 F 0.270 0.500 0.212
F3 F 0.458 0.500 0.546
F4 F 0.489 0.000 0.296
F5 F 0.682 0.000 0.004
F6 F 0.707 0.000 0.512
F7 F 0.727 0.500 0.267
F8 F 0.789 0.500 0.736
```